Entry 1:
# PrCoO3, relaxed, DFT r²SCAN
# Size of the total moment ... 0.00 μB per formula unit
# Formation enthalpy at 0 K ... -2.52 eV per atom
data_PrCoO3
_symmetry_space_group_name_H-M 'P 1'
_symmetry_Int_Tables_number 1
_symmetry_space_group_name_Hall 'P 1'
_cell_length_a 5.402
_cell_length_b 5.349
_cell_length_c 7.595
_cell_angle_alpha 90.00
_cell_angle_beta 90.00
_cell_angle_gamma 90.00
loop_
_atom_site_label
_atom_site_fract_x
_atom_site_fract_y
_atom_site_fract_z
O1 0.723 0.276 0.036
Co1 0.000 0.500 0.000
Pr1 0.505 0.527 0.250
Co2 0.000 0.500 0.500
O2 0.277 0.724 0.536
Co3 0.500 0.000 0.000
Pr2 0.005 0.973 0.750
Pr3 0.495 0.473 0.750
Co4 0.500 0.000 0.500
Pr4 0.995 0.027 0.250
O3 0.566 0.008 0.750
O4 0.777 0.776 0.464
O5 0.723 0.276 0.464
O6 0.434 0.992 0.250
O7 0.223 0.224 0.964
O8 0.934 0.508 0.750
O9 0.777 0.776 0.036
O10 0.066 0.492 0.250
O11 0.277 0.724 0.964
O12 0.223 0.224 0.536

=====

Entry 2:
# TaNbTc2, relaxed, DFT r²SCAN
# Size of the total moment ... 0.00 μB per formula unit
# Formation enthalpy at 0 K ... -0.47 eV per atom
data_TaNbTc2
_symmetry_space_group_name_H-M 'P 1'
_symmetry_Int_Tables_number 1
_symmetry_space_group_name_Hall 'P 1'
_cell_length_a 4.498
_cell_length_b 4.498
_cell_length_c 4.498
_cell_angle_alpha 60.00
_cell_angle_beta 60.00
_cell_angle_gamma 60.00
loop_
_atom_site_label
_atom_site_fract_x
_atom_site_fract_y
_atom_site_fract_z
Tc1 0.500 0.500 0.500
Nb1 0.250 0.250 0.250
Tc2 0.000 0.000 0.000
Ta1 0.750 0.750 0.750

=====

Entry 3:
# ErSi2Ni2, relaxed, DFT r²SCAN
# Size of the total moment ... 0.00 μB per formula unit
# Formation enthalpy at 0 K ... -0.87 eV per atom
data_ErSi2Ni2
_symmetry_space_group_name_H-M 'P 1'
_symmetry_Int_Tables_number 1
_symmetry_space_group_name_Hall 'P 1'
_cell_length_a 3.913
_cell_length_b 3.913
_cell_length_c 5.481
_cell_angle_alpha 110.92
_cell_angle_beta 110.92
_cell_angle_gamma 90.00
loop_
_atom_site_label
_atom_site_fract_x
_atom_site_fract_y
_atom_site_fract_z
Si1 0.374 0.374 0.747
Er1 0.000 0.000 0.000
Ni1 0.750 0.250 0.500
Ni2 0.250 0.750 0.500
Si2 0.626 0.626 0.253

=====

Entry 4:
# Zr2Ir, relaxed, DFT r²SCAN
# Size of the total moment ... 0.00 μB per formula unit
# Formation enthalpy at 0 K ... -0.76 eV per atom
data_Zr2Ir
_symmetry_space_group_name_H-M 'P 1'
_symmetry_Int_Tables_number 1
_symmetry_space_group_name_Hall 'P 1'
_cell_length_a 5.434
_cell_length_b 5.434
_cell_length_c 5.434
_cell_angle_alpha 106.51
_cell_angle_beta 106.51
_cell_angle_gamma 115.57
loop_
_atom_site_label
_atom_site_fract_x
_atom_site_fract_y
_atom_site_fract_z
Ir1 0.750 0.750 0.000
Zr1 0.674 0.174 0.848
Zr2 0.174 0.326 0.500
Zr3 0.326 0.826 0.152
Ir2 0.250 0.250 0.000
Zr4 0.826 0.674 0.500

=====

Entry 5:
# RbCaBr3, relaxed, DFT r²SCAN
# Size of the total moment ... 0.00 μB per formula unit
# Formation enthalpy at 0 K ... -2.22 eV per atom
data_RbCaBr3
_symmetry_space_group_name_H-M 'P 1'
_symmetry_Int_Tables_number 1
_symmetry_space_group_name_Hall 'P 1'
_cell_length_a 4.378
_cell_length_b 9.693
_cell_length_c 16.095
_cell_angle_alpha 90.00
_cell_angle_beta 90.00
_cell_angle_gamma 90.00
loop_
_atom_site_label
_atom_site_fract_x
_atom_site_fract_y
_atom_site_fract_z
Rb1 0.250 0.071 0.822
Br1 0.750 0.292 0.714
Br2 0.250 0.981 0.603
Ca1 0.250 0.830 0.445
Rb2 0.750 0.929 0.178
Br3 0.750 0.665 0.510
Br4 0.250 0.481 0.897
Br5 0.250 0.708 0.286
Ca2 0.250 0.330 0.055
Br6 0.250 0.835 0.010
Br7 0.750 0.519 0.103
Br8 0.750 0.792 0.786
Ca3 0.750 0.670 0.945
Rb3 0.750 0.429 0.322
Br9 0.750 0.019 0.397
Br10 0.250 0.208 0.214
Ca4 0.750 0.170 0.555
Br11 0.750 0.165 0.990
Rb4 0.250 0.571 0.678
Br12 0.250 0.335 0.490

=====

Entry 6:
# Ho7Rh3, relaxed, DFT r²SCAN
# Size of the total moment ... 0.00 μB per formula unit
# Formation enthalpy at 0 K ... -0.68 eV per atom
data_Ho7Rh3
_symmetry_space_group_name_H-M 'P 1'
_symmetry_Int_Tables_number 1
_symmetry_space_group_name_Hall 'P 1'
_cell_length_a 6.137
_cell_length_b 9.704
_cell_length_c 9.704
_cell_angle_alpha 120.00
_cell_angle_beta 90.00
_cell_angle_gamma 90.00
loop_
_atom_site_label
_atom_site_fract_x
_atom_site_fract_y
_atom_site_fract_z
Ho1 0.255 0.124 0.248
Ho2 0.444 0.541 0.459
Ho3 0.944 0.459 0.541
Ho4 0.755 0.248 0.124
Ho5 0.944 0.459 0.917
Rh1 0.681 0.190 0.379
Rh2 0.181 0.379 0.190
Ho6 0.944 0.083 0.541
Ho7 0.755 0.876 0.752
Rh3 0.181 0.810 0.621
Ho8 0.755 0.876 0.124
Ho9 0.255 0.752 0.876
Ho10 0.461 0.333 0.667
Rh4 0.681 0.621 0.810
Ho11 0.444 0.541 0.083
Rh5 0.181 0.810 0.190
Ho12 0.444 0.917 0.459
Rh6 0.681 0.190 0.810
Ho13 0.255 0.124 0.876
Ho14 0.961 0.667 0.333

=====

Entry 7:
# Pm2TlZn, relaxed, DFT r²SCAN
# Size of the total moment ... 0.02 μB per formula unit
# Formation enthalpy at 0 K ... -0.42 eV per atom
data_Pm2TlZn
_symmetry_space_group_name_H-M 'P 1'
_symmetry_Int_Tables_number 1
_symmetry_space_group_name_Hall 'P 1'
_cell_length_a 5.333
_cell_length_b 5.333
_cell_length_c 5.333
_cell_angle_alpha 60.00
_cell_angle_beta 60.00
_cell_angle_gamma 60.00
loop_
_atom_site_label
_atom_site_fract_x
_atom_site_fract_y
_atom_site_fract_z
Pm1 0.250 0.250 0.250
Tl1 0.500 0.500 0.500
Pm2 0.750 0.750 0.750
Zn1 0.000 0.000 0.000

=====

Entry 8:
# LaN2Cl5, relaxed, DFT r²SCAN
# Size of the total moment ... 0.00 μB per formula unit
# Formation enthalpy at 0 K ... -1.21 eV per atom
data_LaN2Cl5
_symmetry_space_group_name_H-M 'P 1'
_symmetry_Int_Tables_number 1
_symmetry_space_group_name_Hall 'P 1'
_cell_length_a 8.042
_cell_length_b 8.831
_cell_length_c 12.443
_cell_angle_alpha 90.00
_cell_angle_beta 90.00
_cell_angle_gamma 90.00
loop_
_atom_site_label
_atom_site_fract_x
_atom_site_fract_y
_atom_site_fract_z
N1 0.953 0.994 0.032
N2 0.453 0.006 0.968
Cl1 0.250 0.251 0.766
Cl2 0.750 0.552 0.699
Cl3 0.956 0.653 0.936
Cl4 0.250 0.226 0.326
La1 0.250 0.490 0.906
Cl5 0.250 0.948 0.199
N3 0.953 0.494 0.468
La2 0.750 0.010 0.406
Cl6 0.044 0.347 0.064
Cl7 0.750 0.749 0.234
Cl8 0.456 0.847 0.436
Cl9 0.750 0.274 0.826
La3 0.250 0.990 0.594
Cl10 0.544 0.653 0.936
N4 0.547 0.994 0.032
Cl11 0.750 0.774 0.674
N5 0.547 0.494 0.468
N6 0.047 0.506 0.532
Cl12 0.750 0.052 0.801
N7 0.453 0.506 0.532
La4 0.750 0.510 0.094
Cl13 0.544 0.153 0.564
Cl14 0.750 0.249 0.266
Cl15 0.250 0.726 0.174
N8 0.047 0.006 0.968
Cl16 0.250 0.448 0.301
Cl17 0.250 0.751 0.734
Cl18 0.044 0.847 0.436
Cl19 0.456 0.347 0.064
Cl20 0.956 0.153 0.564